1.
An optimized crystal structure of Li2Mn3SnO8. Source: the Materials Project database, functional PBE with a Hubbard U.

The structure in extended XYZ format:
```
28
Lattice="6.0595 0.0000 0.0000 -0.2255 6.2161 0.0000 -0.0960 -0.2876 8.4149" Properties=species:S:1:pos:R:3 pbc="T T T"
Li 1.3522 3.0557 1.1196
Li 1.4834 -0.1055 3.1227
Li 4.2546 6.0340 5.2922
Li 4.3858 2.8728 7.2954
Mn 0.0000 0.0000 0.0000
Mn -0.1608 2.9643 4.2075
Mn 1.2639 4.4533 6.2918
Mn 3.0298 0.0000 0.0000
Mn 2.8690 2.9643 4.2075
Mn 4.4741 1.4752 2.1231
Sn 1.3411 1.3315 6.3027
Sn 4.3969 4.5970 2.1122
O -0.0675 -0.1814 6.4971
O -0.0433 2.9557 6.1592
O 1.1761 1.5417 4.2387
O 1.2432 1.1425 8.3775
O 1.2030 4.6545 8.2764
O 1.3054 4.2611 4.3261
O 2.5323 5.9690 6.3816
O 2.7734 2.8178 6.1599
O 2.9646 3.1107 2.2550
O 3.2057 -0.0405 2.0333
O 4.4326 1.6674 4.0888
O 4.5350 1.2740 0.1386
O 4.4948 4.7861 0.0374
O 4.5619 4.3868 4.1763
O 5.7813 2.9728 2.2557
O 5.8055 6.1099 1.9178
```

Results
energy above the most stable polymorph in this dataset = 15 meV per atom
DFT total energy = -187.2 eV for the cell shown



2.
An optimized crystal structure of Li2Mn3SnO8. Source: the Materials Project database, functional PBE with a Hubbard U.

The structure in extended XYZ format:
```
14
Lattice="2.9950 1.7292 5.1150 -2.9950 1.7292 5.1150 0.0000 -3.4583 5.1150" Properties=species:S:1:pos:R:3 pbc="T T T"
Li 0.0000 0.0000 1.8684
Li 0.0000 0.0000 13.4768
Mn -1.4975 -0.8646 5.1150
Mn -1.4975 0.8646 10.2301
Mn 0.0000 1.7292 5.1150
Sn 0.0000 0.0000 7.6726
O 0.0000 -1.6028 6.3292
O -1.3880 0.8014 6.3292
O 0.0000 0.0000 4.1771
O -1.3880 -0.8014 9.0159
O 1.3880 0.8014 6.3292
O 0.0000 0.0000 11.1680
O 1.3880 -0.8014 9.0159
O 0.0000 1.6028 9.0159
```

Results
energy above the most stable polymorph in this dataset = 46 meV per atom
DFT total energy = -93.2 eV for the cell shown



Copy entry 2 word for word.
An optimized crystal structure of Li2Mn3SnO8. Source: the Materials Project database, functional PBE with a Hubbard U.

The structure in extended XYZ format:
```
14
Lattice="2.9950 1.7292 5.1150 -2.9950 1.7292 5.1150 0.0000 -3.4583 5.1150" Properties=species:S:1:pos:R:3 pbc="T T T"
Li 0.0000 0.0000 1.8684
Li 0.0000 0.0000 13.4768
Mn -1.4975 -0.8646 5.1150
Mn -1.4975 0.8646 10.2301
Mn 0.0000 1.7292 5.1150
Sn 0.0000 0.0000 7.6726
O 0.0000 -1.6028 6.3292
O -1.3880 0.8014 6.3292
O 0.0000 0.0000 4.1771
O -1.3880 -0.8014 9.0159
O 1.3880 0.8014 6.3292
O 0.0000 0.0000 11.1680
O 1.3880 -0.8014 9.0159
O 0.0000 1.6028 9.0159
```

Results
energy above the most stable polymorph in this dataset = 46 meV per atom
DFT total energy = -93.2 eV for the cell shown



energy above the most stable polymorph in this dataset of number 1 (Li2Mn3SnO8)?
15 meV per atom